Compound: NbInO4
Source: the Materials Project database
Functional: PBE-GGA
Structure: relaxed Values from VASP.

```
&SYSTEM
  ibrav = 0, nat = 12, ntyp = 3
/
ATOMIC_SPECIES
Nb 92.91 Nb.upf
In 114.82 In.upf
O 16.00 O.upf
CELL_PARAMETERS angstrom
0.000 -4.921 0.000
0.000 0.082 5.223
-5.897 0.000 0.000
ATOMIC_POSITIONS angstrom
Nb -1.051 0.021 1.306
Nb -4.846 0.062 3.917
In -4.015 -2.440 1.306
In -1.882 -2.399 3.917
O -0.608 -0.978 4.895
O -2.246 -3.632 0.513
O -3.651 -3.591 3.125
O -3.651 -1.206 4.710
O -0.608 -3.819 2.939
O -5.289 -1.019 2.284
O -2.246 -1.248 2.098
O -5.289 -3.861 0.327
```

Results
Final energy, eV/atom: -7.6075
Density, g cm⁻³: 6.0